(i)
! PBE Na4Sb2C4SO16, relaxed; values from VASP
! **Magnetization**: 0.00 μB/f.u.
&SYSTEM
  ibrav = 0, nat = 54, ntyp = 5
/
ATOMIC_SPECIES
Na 22.99 Na.upf
O 16.00 O.upf
Sb 121.76 Sb.upf
C 12.01 C.upf
S 32.06 S.upf
ATOMIC_POSITIONS angstrom
Na -1.813 -8.976 -5.416
Na 2.243 -6.727 3.154
Na 0.014 -11.116 -10.885
Na 4.387 -3.514 -2.934
Na 2.606 -6.127 -8.390
Na -0.071 -6.282 0.011
Na 5.001 -6.642 -5.090
Na 0.603 -9.516 -2.201
O 0.781 -9.144 -9.361
O 0.077 -4.074 -1.221
O 1.009 -2.360 -2.347
O 4.868 -8.861 -3.902
O 2.202 -9.234 -0.307
O 3.344 -8.139 1.313
O 4.788 -6.025 -2.703
O 5.494 -3.517 2.564
O 3.858 -11.915 -5.904
O 2.643 -6.017 -4.778
O 4.090 -10.527 -2.603
O 5.187 -5.920 -0.499
O 4.025 -3.854 4.240
O 6.674 -6.937 -1.856
O 0.172 -6.930 -2.457
O 4.219 -5.381 2.606
O 1.416 -3.150 1.718
O 2.233 -6.991 -0.275
O 3.234 -2.014 0.494
O -0.696 -9.379 -7.665
O 2.779 -8.750 -3.045
O 1.648 -10.846 -5.660
O 0.679 -7.582 -7.754
O -1.835 -6.193 -3.183
O 2.510 -1.198 2.682
O 3.476 -9.715 -6.866
O -0.391 -7.142 -4.634
O 2.147 -4.285 -2.117
O 2.896 -3.788 -5.008
O 1.607 -4.924 -6.462
O 2.356 -11.645 -7.847
O 1.061 -0.946 0.729
Sb 5.446 -6.960 1.445
Sb 2.438 -6.485 -2.556
Sb 7.031 -8.744 -3.088
Sb 7.476 -2.874 3.551
C 0.259 -8.698 -8.256
C 3.891 -9.379 -3.187
C 2.376 -4.905 -5.404
C 4.587 -4.253 3.123
C 5.554 -6.288 -1.685
C 1.075 -3.570 -1.892
C -0.687 -6.749 -3.447
C 2.598 -8.113 0.254
S 2.829 -11.046 -6.538
S 2.066 -1.850 1.398
CELL_PARAMETERS angstrom
3.267 -3.574 -9.141
5.895 -1.105 8.137
-4.253 -8.283 -4.130

=====

(ii)
! PBE Na4Sb2C4SO16, relaxed; values from VASP
! **Magnetization**: 0.00 μB/f.u.
&SYSTEM
  ibrav = 0, nat = 108, ntyp = 5
/
ATOMIC_SPECIES
C 12.01 C.upf
Sb 121.76 Sb.upf
O 16.00 O.upf
Na 22.99 Na.upf
S 32.06 S.upf
ATOMIC_POSITIONS angstrom
C 8.738 8.432 1.229
C -0.782 12.101 2.068
C 4.210 5.939 -2.032
C 4.607 6.087 3.150
C 2.191 13.808 4.255
C 6.576 17.082 1.273
C 2.188 15.164 -0.859
C 6.138 20.793 4.886
C 3.697 9.520 1.649
C 8.846 22.858 3.064
C 8.206 12.884 -1.389
C 1.408 3.696 -0.187
C 5.628 20.692 -0.327
C 8.024 11.619 3.653
C 11.006 14.532 0.681
C 1.460 18.151 1.509
Sb 9.865 11.446 0.907
Sb 3.929 17.874 -0.575
Sb 6.301 8.888 3.422
Sb 0.330 15.104 1.793
Sb 2.533 6.570 0.751
Sb 3.668 2.779 -2.429
Sb 7.613 19.987 2.162
Sb 1.541 10.617 3.754
O 5.593 6.721 2.594
O -1.433 15.516 3.265
O 2.488 9.982 1.807
O 7.032 10.909 4.129
O 8.105 11.849 2.383
O 3.090 15.916 -1.418
O 5.021 15.929 4.332
O 10.187 13.793 1.372
O 4.685 12.583 -0.070
O 2.883 11.539 -1.398
O 1.102 19.281 0.959
O 5.160 10.685 -1.572
O -2.020 12.402 2.275
O 2.642 20.822 3.813
O 5.521 16.653 0.670
O 4.506 4.846 -2.693
O 8.509 11.739 -0.837
O 5.588 13.752 5.277
O 3.193 18.613 4.751
O 9.338 7.173 -2.127
O 11.730 11.376 -0.414
O 3.918 8.582 0.784
O 0.922 19.463 4.946
O 4.585 12.889 -2.512
O -0.009 12.918 1.401
O 0.614 17.458 2.210
O 7.648 23.334 3.264
O 9.018 21.932 2.169
O 7.055 8.037 -1.930
O 6.526 21.189 0.504
O -0.298 10.964 2.484
O 7.734 16.524 1.075
O 9.189 7.288 1.657
O 8.840 18.813 3.789
O 7.625 5.862 -0.980
O 2.307 19.036 -1.621
O 4.213 5.937 -0.737
O 7.501 8.761 1.414
O 2.731 20.535 6.227
O 9.373 19.212 0.709
O 2.667 17.707 1.331
O 7.868 7.506 4.623
O 2.555 3.141 -0.391
O 6.123 20.906 3.585
O 6.477 18.075 2.131
O 4.659 9.995 2.393
O 2.143 15.042 0.429
O 4.655 19.985 0.145
O 7.971 13.920 -0.646
O 5.788 21.798 5.620
O 1.032 7.547 2.172
O 5.500 14.047 2.854
O 12.204 14.085 0.428
O 9.542 9.233 0.578
O 3.622 5.617 2.432
O 6.542 19.671 5.416
O 2.475 12.739 3.574
O 1.905 14.917 3.638
O 10.627 15.694 0.233
O 7.531 6.152 -3.411
O 1.372 7.860 -0.928
O 7.306 15.071 4.137
O 1.300 4.698 0.653
O 3.948 7.029 -2.691
Na 6.834 17.450 4.473
Na 0.295 9.396 0.709
Na 3.853 15.633 2.145
Na -1.802 17.844 2.724
Na 5.497 22.822 2.096
Na 5.838 7.800 -4.053
Na 2.451 21.035 -0.137
Na 6.000 7.310 0.179
Na 4.802 11.981 3.774
Na 4.009 15.242 6.465
Na 3.361 9.329 -1.601
Na 7.607 14.123 1.750
Na 9.972 17.148 2.233
Na 1.383 17.270 4.650
Na 8.933 9.518 -1.823
Na 7.789 5.477 2.935
S 5.857 14.701 4.149
S 2.371 19.859 4.934
S 7.887 6.805 -2.113
S 4.371 11.948 -1.358
CELL_PARAMETERS angstrom
7.530 4.255 5.404
7.155 5.436 -4.854
-4.428 16.973 2.270

=====

Name the least stable of them. (ii).

=====

(i)
! PBE Nb4C3, relaxed; values from VASP
! **Magnetization**: 0.00 μB/f.u.
&SYSTEM
  ibrav = 0, nat = 7, ntyp = 2
/
ATOMIC_SPECIES
C 12.01 C.upf
Nb 92.91 Nb.upf
ATOMIC_POSITIONS angstrom
C 2.193 -2.252 0.335
C -0.376 -2.797 -1.425
C 1.842 -0.789 -2.445
Nb 1.830 -2.919 -1.767
Nb -0.013 -2.130 0.678
Nb -0.363 -0.667 -2.102
Nb 2.206 -0.122 -0.342
CELL_PARAMETERS angstrom
-0.727 -1.334 -4.205
4.411 -0.244 -0.685
-0.025 -4.260 1.356

=====

(ii)
Entry from the Materials Project database: a relaxed structure of Nb4C3 (PBE). Values from VASP.

Geometry as Quantum ESPRESSO input:
```
&SYSTEM
  ibrav = 0, nat = 7, ntyp = 2
/
ATOMIC_SPECIES
C 12.01 C.upf
Nb 92.91 Nb.upf
ATOMIC_POSITIONS angstrom
C 0.000 0.000 0.000
C 7.605 0.000 0.674
C 23.130 0.000 2.050
Nb 26.916 0.000 2.386
Nb 3.818 0.000 0.338
Nb 19.149 0.000 1.697
Nb 11.586 0.000 1.027
CELL_PARAMETERS angstrom
10.325 -1.579 0.000
10.325 1.579 0.000
10.084 0.000 2.724
```

=====

Name the least stable of them. (i).